{"formula": "CsCuNiF6", "functional": "GGA+U", "state": "relaxed", "lattice": [[2.517, -6.871, -0.042], [5.869, 2.157, 3.801], [-6.741, 1.331, 2.517]], "species": ["Cs", "Cs", "Cu", "Cu", "Ni", "Ni", "F", "F", "F", "F", "F", "F", "F", "F", "F", "F", "F", "F"], "frac_coords": [[0.627, 0.377, 0.250], [0.373, 0.623, 0.750], [0.500, 0.000, 0.500], [0.000, 0.000, 0.000], [0.000, 0.000, 0.500], [0.000, 0.500, 0.000], [0.073, 0.323, 0.750], [0.682, 0.932, 0.750], [0.073, 0.315, 0.143], [0.672, 0.930, 0.357], [0.672, 0.315, 0.742], [0.073, 0.930, 0.758], [0.927, 0.677, 0.250], [0.318, 0.068, 0.250], [0.927, 0.685, 0.857], [0.328, 0.070, 0.643], [0.328, 0.685, 0.258], [0.927, 0.070, 0.242]], "spacegroup": "Imma, No. 74"}

{"formula": "Li4Ti5Co3O16", "functional": "GGA+U", "state": "relaxed", "lattice": [[5.864, 0.000, 0.000], [2.924, 5.105, 0.000], [0.012, 0.014, 9.598]], "species": ["Li", "Li", "Li", "Li", "Ti", "Ti", "Ti", "Ti", "Ti", "Co", "Co", "Co", "O", "O", "O", "O", "O", "O", "O", "O", "O", "O", "O", "O", "O", "O", "O", "O"], "frac_coords": [[0.662, 0.668, 0.897], [0.016, 0.992, 0.991], [0.005, 0.000, 0.499], [0.330, 0.334, 0.396], [0.653, 0.175, 0.728], [0.821, 0.343, 0.219], [0.655, 0.676, 0.503], [0.820, 0.837, 0.218], [0.311, 0.345, 0.988], [0.345, 0.827, 0.210], [0.164, 0.186, 0.711], [0.165, 0.655, 0.710], [0.817, 0.345, 0.592], [0.964, 0.518, 0.332], [0.673, 0.663, 0.104], [0.011, 0.994, 0.307], [0.998, 0.011, 0.802], [0.822, 0.838, 0.591], [0.518, 0.520, 0.333], [0.518, 0.960, 0.333], [0.676, 0.161, 0.102], [0.339, 0.834, 0.591], [0.492, 0.036, 0.846], [0.492, 0.470, 0.848], [0.347, 0.314, 0.602], [0.175, 0.158, 0.100], [0.038, 0.474, 0.856], [0.173, 0.666, 0.099]], "spacegroup": "P1, No. 1"}

{"formula": "BaNdMn4O12", "functional": "GGA+U", "state": "relaxed", "lattice": [[5.469, 0.000, 0.000], [0.000, 5.469, 0.000], [0.000, 0.000, 7.725]], "species": ["Ba", "Nd", "Mn", "Mn", "Mn", "Mn", "O", "O", "O", "O", "O", "O", "O", "O", "O", "O", "O", "O"], "frac_coords": [[0.500, 0.500, 0.000], [0.000, 0.000, 0.500], [0.000, 0.500, 0.753], [0.000, 0.500, 0.247], [0.500, 0.000, 0.753], [0.500, 0.000, 0.247], [0.241, 0.241, 0.729], [0.241, 0.241, 0.271], [0.759, 0.759, 0.729], [0.759, 0.759, 0.271], [0.759, 0.241, 0.729], [0.759, 0.241, 0.271], [0.241, 0.759, 0.729], [0.241, 0.759, 0.271], [0.000, 0.500, 0.500], [0.000, 0.500, 0.000], [0.500, 0.000, 0.500], [0.500, 0.000, 0.000]], "spacegroup": "P4/mmm, No. 123"}

{"formula": "MgMn2Fe4O8", "functional": "GGA+U", "state": "relaxed", "lattice": [[-2.189, -6.121, -0.039], [3.445, -5.122, 1.947], [-1.517, -2.315, 5.252]], "species": ["Mg", "Mn", "Mn", "Fe", "Fe", "Fe", "Fe", "O", "O", "O", "O", "O", "O", "O", "O"], "frac_coords": [[0.790, 0.768, 0.211], [0.110, 0.626, 0.634], [0.619, 0.104, 0.640], [0.043, 0.045, 0.952], [0.237, 0.240, 0.267], [0.558, 0.577, 0.152], [0.575, 0.575, 0.687], [0.354, 0.366, 0.407], [0.417, 0.862, 0.364], [0.348, 0.372, 0.892], [0.862, 0.402, 0.379], [0.408, 0.867, 0.859], [0.853, 0.408, 0.872], [0.921, 0.899, 0.331], [0.915, 0.900, 0.841]], "spacegroup": "P1, No. 1"}

{"formula": "Fe3O4F2", "functional": "GGA+U", "state": "relaxed", "lattice": [[-9.993, 3.514, -0.015], [-2.911, -1.984, 5.631], [0.895, 2.551, 1.361]], "species": ["Fe", "Fe", "Fe", "Fe", "Fe", "Fe", "O", "O", "O", "O", "O", "O", "O", "O", "F", "F", "F", "F"], "frac_coords": [[0.015, 0.993, 0.000], [0.012, 0.494, 0.500], [0.333, 0.333, 0.000], [0.656, 0.172, 0.500], [0.332, 0.834, 0.500], [0.650, 0.675, 0.000], [0.004, 0.305, 0.000], [0.004, 0.691, 0.000], [0.214, 0.393, 0.500], [0.456, 0.272, 0.500], [0.141, 0.929, 0.500], [0.662, 0.361, 0.000], [0.527, 0.736, 0.500], [0.662, 0.977, 0.000], [0.334, 0.026, 0.000], [0.334, 0.639, 0.000], [0.873, 0.064, 0.500], [0.790, 0.605, 0.500]], "spacegroup": "Amm2, No. 38"}

{"formula": "Li9Mn2Co5O16", "functional": "GGA+U", "state": "relaxed", "lattice": [[-1.144, -1.102, 2.524], [0.974, -7.620, -1.491], [11.393, 0.224, 5.339]], "species": ["Li", "Li", "Li", "Li", "Li", "Li", "Li", "Li", "Li", "Mn", "Mn", "Co", "Co", "Co", "Co", "Co", "O", "O", "O", "O", "O", "O", "O", "O", "O", "O", "O", "O", "O", "O", "O", "O"], "frac_coords": [[0.198, 0.622, 0.058], [0.939, 0.125, 0.313], [0.687, 0.625, 0.566], [0.796, 0.381, 0.933], [0.555, 0.877, 0.188], [0.315, 0.375, 0.439], [0.448, 0.113, 0.811], [0.066, 0.871, 0.695], [0.609, 0.759, 0.870], [0.009, 0.993, 0.996], [0.124, 0.750, 0.376], [0.751, 0.498, 0.248], [0.493, 0.003, 0.503], [0.245, 0.510, 0.755], [0.384, 0.246, 0.125], [0.875, 0.253, 0.628], [0.573, 0.835, 0.027], [0.335, 0.320, 0.269], [0.072, 0.820, 0.524], [0.225, 0.549, 0.892], [0.001, 0.072, 0.147], [0.761, 0.563, 0.400], [0.879, 0.321, 0.773], [0.463, 0.067, 0.650], [0.749, 0.427, 0.097], [0.489, 0.938, 0.352], [0.294, 0.434, 0.608], [0.439, 0.165, 0.979], [0.160, 0.680, 0.225], [0.911, 0.187, 0.478], [0.022, 0.947, 0.854], [0.633, 0.671, 0.721]], "spacegroup": "P1, No. 1"}

{"formula": "VAs2H4O9", "functional": "GGA+U", "state": "relaxed", "lattice": [[9.285, 0.000, 0.000], [0.000, 9.285, 0.000], [0.000, 0.000, 8.540]], "species": ["V", "V", "V", "V", "As", "As", "As", "As", "As", "As", "As", "As", "H", "H", "H", "H", "H", "H", "H", "H", "H", "H", "H", "H", "H", "H", "H", "H", "O", "O", "O", "O", "O", "O", "O", "O", "O", "O", "O", "O", "O", "O", "O", "O", "O", "O", "O", "O", "O", "O", "O", "O", "O", "O", "O", "O", "O", "O", "O", "O", "O", "O", "O", "O"], "frac_coords": [[0.000, 0.500, 0.304], [0.000, 0.500, 0.804], [0.500, 0.000, 0.696], [0.500, 0.000, 0.196], [0.215, 0.785, 0.250], [0.215, 0.215, 0.750], [0.785, 0.785, 0.750], [0.785, 0.215, 0.250], [0.285, 0.715, 0.750], [0.285, 0.285, 0.250], [0.715, 0.715, 0.250], [0.715, 0.285, 0.750], [0.038, 0.837, 0.429], [0.038, 0.163, 0.929], [0.962, 0.837, 0.929], [0.962, 0.163, 0.429], [0.337, 0.538, 0.929], [0.337, 0.462, 0.429], [0.663, 0.538, 0.429], [0.663, 0.462, 0.929], [0.462, 0.663, 0.571], [0.462, 0.337, 0.071], [0.538, 0.663, 0.071], [0.538, 0.337, 0.571], [0.163, 0.962, 0.071], [0.163, 0.038, 0.571], [0.837, 0.962, 0.571], [0.837, 0.038, 0.071], [0.139, 0.871, 0.415], [0.139, 0.129, 0.915], [0.861, 0.871, 0.915], [0.861, 0.129, 0.415], [0.371, 0.639, 0.915], [0.371, 0.361, 0.415], [0.629, 0.639, 0.415], [0.629, 0.361, 0.915], [0.361, 0.629, 0.585], [0.361, 0.371, 0.085], [0.639, 0.629, 0.085], [0.639, 0.371, 0.585], [0.129, 0.861, 0.085], [0.129, 0.139, 0.585], [0.871, 0.861, 0.585], [0.871, 0.139, 0.085], [0.184, 0.605, 0.254], [0.184, 0.395, 0.754], [0.816, 0.605, 0.754], [0.816, 0.395, 0.254], [0.105, 0.684, 0.754], [0.105, 0.316, 0.254], [0.895, 0.684, 0.254], [0.895, 0.316, 0.754], [0.316, 0.895, 0.746], [0.316, 0.105, 0.246], [0.684, 0.895, 0.246], [0.684, 0.105, 0.746], [0.395, 0.816, 0.246], [0.395, 0.184, 0.746], [0.605, 0.816, 0.746], [0.605, 0.184, 0.246], [0.000, 0.500, 0.496], [0.000, 0.500, 0.996], [0.500, 0.000, 0.504], [0.500, 0.000, 0.004]], "spacegroup": "P4/ncc, No. 130"}

{"formula": "Sr2CoReO6", "functional": "GGA+U", "state": "relaxed", "lattice": [[5.637, -0.004, -0.001], [-0.005, 5.659, -0.001], [-0.001, -0.006, 16.007]], "species": ["Sr", "Sr", "Sr", "Sr", "Sr", "Sr", "Sr", "Sr", "Co", "Co", "Co", "Co", "Re", "Re", "Re", "Re", "O", "O", "O", "O", "O", "O", "O", "O", "O", "O", "O", "O", "O", "O", "O", "O", "O", "O", "O", "O", "O", "O", "O", "O"], "frac_coords": [[0.479, 0.497, 0.374], [0.481, 0.497, 0.875], [0.018, 0.996, 0.126], [0.018, 0.997, 0.625], [0.980, 0.004, 0.375], [0.982, 0.003, 0.875], [0.521, 0.504, 0.125], [0.518, 0.502, 0.626], [0.000, 0.501, 0.750], [0.500, 0.999, 0.500], [0.000, 0.500, 0.250], [0.500, 0.000, 0.000], [0.500, 0.000, 0.250], [0.500, 0.000, 0.750], [0.001, 0.500, 0.000], [0.999, 0.500, 0.500], [0.283, 0.734, 0.236], [0.283, 0.736, 0.736], [0.784, 0.764, 0.014], [0.783, 0.763, 0.514], [0.216, 0.237, 0.486], [0.217, 0.236, 0.986], [0.716, 0.266, 0.263], [0.717, 0.263, 0.764], [0.767, 0.786, 0.236], [0.765, 0.785, 0.736], [0.233, 0.213, 0.264], [0.234, 0.215, 0.764], [0.266, 0.716, 0.015], [0.265, 0.716, 0.514], [0.734, 0.285, 0.486], [0.736, 0.285, 0.985], [0.508, 0.945, 0.369], [0.505, 0.947, 0.869], [0.494, 0.054, 0.131], [0.494, 0.052, 0.631], [0.996, 0.446, 0.119], [0.993, 0.448, 0.620], [0.007, 0.552, 0.381], [0.007, 0.555, 0.881]], "spacegroup": "P1, No. 1"}

{"formula": "KHo2CuMo4O16", "functional": "GGA+U", "state": "relaxed", "lattice": [[-5.284, 0.000, 0.000], [2.641, 6.343, 0.000], [1.131, -0.046, -19.664]], "species": ["K", "K", "Ho", "Ho", "Ho", "Ho", "Cu", "Cu", "Mo", "Mo", "Mo", "Mo", "Mo", "Mo", "Mo", "Mo", "O", "O", "O", "O", "O", "O", "O", "O", "O", "O", "O", "O", "O", "O", "O", "O", "O", "O", "O", "O", "O", "O", "O", "O", "O", "O", "O", "O", "O", "O", "O", "O"], "frac_coords": [[0.973, 0.943, 0.752], [0.027, 0.061, 0.252], [0.851, 0.706, 0.531], [0.855, 0.706, 0.969], [0.146, 0.296, 0.032], [0.150, 0.296, 0.468], [0.690, 0.382, 0.750], [0.309, 0.618, 0.249], [0.546, 0.124, 0.909], [0.268, 0.518, 0.646], [0.421, 0.878, 0.409], [0.251, 0.520, 0.854], [0.454, 0.877, 0.092], [0.732, 0.484, 0.353], [0.580, 0.125, 0.591], [0.750, 0.484, 0.147], [0.216, 0.962, 0.037], [0.507, 0.339, 0.959], [0.303, 0.820, 0.172], [0.907, 0.304, 0.369], [0.931, 0.405, 0.215], [0.696, 0.180, 0.828], [0.777, 0.097, 0.101], [0.582, 0.521, 0.434], [0.471, 0.404, 0.286], [0.068, 0.597, 0.787], [0.512, 0.815, 0.329], [0.840, 0.340, 0.542], [0.487, 0.183, 0.671], [0.060, 0.479, 0.934], [0.423, 0.477, 0.567], [0.270, 0.281, 0.828], [0.604, 0.701, 0.871], [0.943, 0.524, 0.067], [0.016, 0.278, 0.673], [0.321, 0.098, 0.399], [0.259, 0.040, 0.536], [0.495, 0.662, 0.042], [0.733, 0.723, 0.173], [0.223, 0.904, 0.900], [0.745, 0.962, 0.462], [0.093, 0.698, 0.630], [0.529, 0.600, 0.714], [0.680, 0.904, 0.599], [0.167, 0.662, 0.458], [0.784, 0.040, 0.963], [0.986, 0.726, 0.329], [0.396, 0.303, 0.130]], "spacegroup": "P1, No. 1"}

{"formula": "Li4CoP2O8", "functional": "GGA+U", "state": "relaxed", "lattice": [[4.192, -3.241, 0.548], [-2.678, -2.412, 7.318], [-5.504, -4.983, -1.565]], "species": ["Li", "Li", "Li", "Li", "Li", "Li", "Li", "Li", "Co", "Co", "P", "P", "P", "P", "O", "O", "O", "O", "O", "O", "O", "O", "O", "O", "O", "O", "O", "O", "O", "O"], "frac_coords": [[0.290, 0.176, 0.349], [0.290, 0.676, 0.849], [0.710, 0.824, 0.651], [0.710, 0.324, 0.151], [0.562, 0.962, 0.224], [0.562, 0.462, 0.724], [0.438, 0.038, 0.776], [0.438, 0.538, 0.276], [0.000, 0.500, 0.500], [0.000, 0.000, 0.000], [0.818, 0.186, 0.541], [0.818, 0.686, 0.041], [0.182, 0.814, 0.459], [0.182, 0.314, 0.959], [0.678, 0.354, 0.550], [0.678, 0.854, 0.050], [0.322, 0.646, 0.450], [0.322, 0.146, 0.950], [0.675, 0.129, 0.371], [0.675, 0.629, 0.871], [0.325, 0.871, 0.629], [0.325, 0.371, 0.129], [0.190, 0.958, 0.281], [0.190, 0.458, 0.781], [0.810, 0.042, 0.719], [0.810, 0.542, 0.219], [0.094, 0.235, 0.519], [0.094, 0.735, 0.019], [0.906, 0.765, 0.481], [0.906, 0.265, 0.981]]}

{"formula": "KMo4O8", "functional": "GGA+U", "state": "relaxed", "lattice": [[6.542, 0.000, 0.000], [0.000, 10.498, 0.000], [0.000, 10.173, 10.662]], "species": ["K", "K", "K", "K", "Mo", "Mo", "Mo", "Mo", "Mo", "Mo", "Mo", "Mo", "Mo", "Mo", "Mo", "Mo", "Mo", "Mo", "Mo", "Mo", "O", "O", "O", "O", "O", "O", "O", "O", "O", "O", "O", "O", "O", "O", "O", "O", "O", "O", "O", "O", "O", "O", "O", "O", "O", "O", "O", "O", "O", "O", "O", "O"], "frac_coords": [[0.867, 0.500, 0.250], [0.133, 0.500, 0.750], [0.365, 0.500, 0.250], [0.635, 0.500, 0.750], [0.871, 0.681, 0.403], [0.371, 0.319, 0.097], [0.629, 0.319, 0.597], [0.629, 0.681, 0.903], [0.129, 0.319, 0.597], [0.129, 0.681, 0.903], [0.371, 0.681, 0.403], [0.871, 0.319, 0.097], [0.627, 0.990, 0.411], [0.627, 0.010, 0.089], [0.373, 0.010, 0.589], [0.373, 0.990, 0.911], [0.126, 0.988, 0.411], [0.126, 0.012, 0.089], [0.874, 0.012, 0.589], [0.874, 0.988, 0.911], [0.123, 0.800, 0.412], [0.123, 0.200, 0.088], [0.877, 0.200, 0.588], [0.877, 0.800, 0.912], [0.392, 0.203, 0.588], [0.392, 0.797, 0.912], [0.608, 0.797, 0.412], [0.608, 0.203, 0.088], [0.130, 0.554, 0.398], [0.130, 0.446, 0.102], [0.870, 0.446, 0.602], [0.870, 0.554, 0.898], [0.380, 0.459, 0.594], [0.380, 0.541, 0.906], [0.620, 0.541, 0.406], [0.620, 0.459, 0.094], [0.136, 0.114, 0.795], [0.136, 0.886, 0.705], [0.864, 0.886, 0.205], [0.864, 0.114, 0.295], [0.622, 0.864, 0.042], [0.622, 0.136, 0.458], [0.378, 0.136, 0.958], [0.378, 0.864, 0.542], [0.122, 0.862, 0.044], [0.122, 0.138, 0.456], [0.367, 0.127, 0.288], [0.878, 0.862, 0.544], [0.633, 0.127, 0.788], [0.633, 0.873, 0.712], [0.367, 0.873, 0.212], [0.878, 0.138, 0.956]], "spacegroup": "P2/c, No. 13"}

VASP energy: -71.76, -206.89, -121.72, -101.17, -108.73, -185.24, -379.28, -286.42, -341.14, -191.97, -366.63 (eV per cell)
Energy of formation: -2.10, -2.69, -1.88, -1.71, -1.75, -1.80, -1.64, -2.47, -2.39, -2.53, -1.99 (eV per atom)